First-principles (GGA-PBE) data for an optimized crystal structure of Cs2KYCl6, as listed in the Materials Project.

Results
Calculated formation energy, eV/atom: -2.519
Total moment, μB per formula unit: 0.00

CIF file:
```
data_Cs2KYCl6
_chemical_formula_sum 'Cs8 K4 Y4 Cl24'
_symmetry_space_group_name_H-M 'F m -3 m'
_symmetry_Int_Tables_number 225
_symmetry_space_group_name_Hall '-F 4 2 3'
_cell_length_a 11.3549
_cell_length_b 11.3549
_cell_length_c 11.3549
_cell_angle_alpha 90.00
_cell_angle_beta 90.00
_cell_angle_gamma 90.00
loop_
_atom_site_label
_atom_site_fract_x
_atom_site_fract_y
_atom_site_fract_z
Cs1 0.2500 0.2500 0.2500
K1 0.0000 0.0000 0.0000
Y1 0.0000 0.0000 0.5000
Cl1 0.0000 0.0000 0.2671
```